# LaCo2P2

A relaxed structure of LaCo2P2 (PBE, the Materials Project database).

ΔH_f (0 K): -1.001 eV/atom
crystal system: tetragonal

Cell and atoms, written as POSCAR:
```
LaCo2P2
1.0
3.733 0.000 0.000
0.000 3.733 0.000
-1.866 -1.866 5.731
Co P La
2 2 1
Cartesian
0.000 1.866 2.865
1.866 0.000 2.865
0.000 0.000 4.059
1.866 1.866 1.672
0.000 0.000 0.000
```

# LaCo8P5

A relaxed structure of LaCo8P5 (PBE, the Materials Project database).

ΔH_f (0 K): -0.724 eV/atom
crystal system: orthorhombic

Cell and atoms, written as POSCAR:
```
LaCo8P5
1.0
3.570 0.000 0.000
0.000 9.282 0.000
0.000 0.000 10.454
P Co La
10 16 2
Cartesian
0.000 3.154 3.207
1.785 6.128 2.020
1.785 0.636 1.261
0.000 3.154 7.247
0.000 8.646 6.488
0.000 8.646 3.967
1.785 5.705 5.227
1.785 6.128 8.434
1.785 0.636 9.194
0.000 3.576 0.000
0.000 4.214 5.227
0.000 6.462 3.756
0.000 6.462 6.698
0.000 4.834 1.747
0.000 1.028 2.569
1.785 8.254 2.658
1.785 2.819 1.471
1.785 4.448 3.481
0.000 1.402 0.000
1.785 8.254 7.797
1.785 2.819 8.984
0.000 4.834 8.708
0.000 1.028 7.885
1.785 5.068 0.000
1.785 7.879 5.227
1.785 4.448 6.974
0.000 7.636 0.000
1.785 1.646 5.227
```

# La3PrCo8P8

A relaxed structure of La3PrCo8P8 (PBE, the Materials Project database).

ΔH_f (0 K): -0.993 eV/atom
crystal system: tetragonal
total magnetization: 2.776 μB/cell

Cell and atoms, written as POSCAR:
```
La3PrCo8P8
1.0
-0.987 -0.019 -3.622
0.546 -3.712 -0.129
-21.488 -3.368 5.872
La P Co Pr
3 8 8 1
Cartesian
-10.964 -3.549 1.060
-16.121 -2.527 4.405
-5.367 -0.841 1.467
-19.958 -3.128 5.454
-14.768 -4.146 2.100
-12.316 -1.930 3.366
-7.160 -2.953 0.021
-1.530 -0.240 0.418
-9.172 -1.437 2.506
-17.941 -4.643 2.967
-3.988 -2.456 -0.846
-13.923 -2.114 1.859
-3.148 -0.426 -1.085
-13.156 -3.961 3.605
-8.552 -1.273 0.391
-18.560 -4.808 5.082
-19.326 -2.961 3.335
-2.382 -2.272 0.661
-7.785 -3.119 2.137
-0.220 -1.865 -1.876
```

# LaPr3Co8P8

A relaxed structure of LaPr3Co8P8 (PBE, the Materials Project database).

ΔH_f (0 K): -0.965 eV/atom
crystal system: tetragonal
total magnetization: 6.587 μB/cell

Cell and atoms, written as POSCAR:
```
LaPr3Co8P8
1.0
-3.865 0.465 -0.358
-0.585 -2.891 2.566
0.208 13.225 14.945
Co P Pr La
8 8 3 1
Cartesian
-1.803 8.498 9.162
-1.906 1.902 1.708
-0.266 0.224 3.170
-0.163 6.820 10.623
-0.111 10.110 14.342
-0.215 3.515 6.888
-1.751 11.788 12.880
-1.855 5.192 5.426
0.170 10.813 12.220
0.038 2.412 2.726
-2.107 6.308 9.603
-2.210 -0.278 2.161
-2.135 4.491 7.550
0.142 9.012 10.184
-2.032 11.077 14.993
0.066 4.214 4.762
-2.069 8.701 12.308
0.104 6.613 7.473
-2.173 2.098 4.846
0.000 0.000 0.000
```